A plane-wave DFT calculation with PBE was carried out for an optimized crystal structure of Nb2B2Mo.

E in eV per atom: -9.523
Energy of formation from the pure elements in meV/atom: -642

Cell lengths 6.130, 6.130, 3.303 Å; angles 90.00, 90.00, 90.00 degrees
Space group P4/mbm (No. 127)
One atom of each set of equivalent atoms:
Nb  0.179  0.321  0.000
B  0.109  0.609  0.500
Mo  0.000  0.000  0.500